Crystalline Ba2B5ClO9 at its relaxed geometry, computed with r2SCAN.

a = 6.7081 Å, b = 11.6167 Å, c = 11.6916 Å
α = 90.00°, β = 90.00°, γ = 90.00°
Positions (direct):
O 0.3094 0.7528 0.8797
O 0.7111 0.7668 0.1832
O 0.2983 0.4371 0.2074
O 0.5990 0.8945 0.7319
O 0.7983 0.9371 0.2926
O 0.9086 0.7261 0.5686
O 0.8094 0.2528 0.6203
O 0.5541 0.6926 0.7396
O 0.0990 0.6055 0.2319
O 0.9086 0.2739 0.4314
O 0.3910 0.2672 0.7306
O 0.1497 0.2931 0.5860
O 0.8910 0.7672 0.7694
O 0.6497 0.2069 0.0860
O 0.3910 0.7328 0.2694
O 0.0541 0.1926 0.7604
O 0.1497 0.7069 0.4140
O 0.8094 0.7472 0.3797
O 0.4813 0.0746 0.7974
O 0.4813 0.9254 0.2026
O 0.0990 0.3945 0.7681
O 0.5541 0.3074 0.2604
O 0.7111 0.2332 0.8168
O 0.5990 0.1055 0.2681
O 0.3094 0.2472 0.1203
O 0.2111 0.2668 0.3168
O 0.4086 0.7739 0.0686
O 0.2111 0.7332 0.6832
O 0.4086 0.2261 0.9314
O 0.7983 0.0629 0.7074
O 0.8910 0.2328 0.2306
O 0.6497 0.7931 0.9140
O 0.9813 0.5746 0.7026
O 0.0541 0.8074 0.2396
O 0.9813 0.4254 0.2974
O 0.2983 0.5629 0.7926
Ba 0.1480 0.9568 0.7558
Ba 0.1480 0.0432 0.2442
Ba 0.4950 0.7700 0.5197
Ba 0.9950 0.2700 0.9803
Ba 0.6480 0.4568 0.7442
Ba 0.6480 0.5432 0.2558
Ba 0.4950 0.2300 0.4803
Ba 0.9950 0.7300 0.0197
B 0.9637 0.2746 0.5434
B 0.6300 0.9897 0.2517
B 0.1788 0.2847 0.7134
B 0.4637 0.2254 0.0434
B 0.4985 0.7993 0.1808
B 0.4637 0.7746 0.9566
B 0.3433 0.6869 0.7718
B 0.9985 0.7007 0.6808
B 0.1788 0.7153 0.2866
B 0.6788 0.2153 0.2134
B 0.1300 0.4897 0.2483
B 0.3433 0.3131 0.2282
B 0.9637 0.7254 0.4566
B 0.6300 0.0103 0.7483
B 0.4985 0.2007 0.8192
B 0.9985 0.2993 0.3192
B 0.6788 0.7847 0.7866
B 0.1300 0.5103 0.7517
B 0.8433 0.8131 0.2718
B 0.8433 0.1869 0.7282
Cl 0.7612 0.5000 0.0000
Cl 0.9989 0.0000 0.0000
Cl 0.2612 0.0000 0.5000
Cl 0.4989 0.5000 0.5000

Results
SG: No. 34
Formation enthalpy at 0 K in eV per atom: -2.848
V in Å³ per atom: 13.40
Magnetization in μB per atom: 0.000

---

Crystalline BaB2F8 at its relaxed geometry, computed with r2SCAN.

a = 4.7160 Å, b = 5.0181 Å, c = 6.7395 Å
α = 111.88°, β = 109.88°, γ = 89.99°
Positions (direct):
F 0.0653 0.4005 0.8012
F 0.5347 0.3852 0.2308
F 0.9347 0.5995 0.1988
F 0.8583 0.7710 0.5423
F 0.4653 0.6148 0.7692
F 0.5344 0.8453 0.2310
F 0.4656 0.1547 0.7690
F 0.1417 0.2290 0.4577
B 0.2865 0.3478 0.6956
B 0.7135 0.6522 0.3044
Ba 0.0000 0.0000 0.0000

Results
SG: No. 12
Formation enthalpy at 0 K in eV per atom: -3.441
V in Å³ per atom: 12.52
Magnetization in μB per atom: 0.000

---

Crystalline Ba3B6O11F2 at its relaxed geometry, computed with r2SCAN.

a = 8.5525 Å, b = 6.5880 Å, c = 9.7021 Å
α = 78.81°, β = 90.00°, γ = 90.00°
Positions (direct):
O 0.0899 0.5534 0.0515
O 0.7582 0.0296 0.7637
O 0.3044 0.3234 0.1238
O 0.0446 0.4430 0.4588
O 0.7438 0.7614 0.6314
O 0.2438 0.2386 0.3686
O 0.8044 0.6766 0.8762
O 0.2739 0.6168 0.3420
O 0.3461 0.6408 0.9659
O 0.2582 0.9704 0.2363
O 0.5247 0.2165 0.6865
O 0.8461 0.3592 0.0341
O 0.0247 0.7835 0.3135
O 0.2938 0.3792 0.5689
O 0.7938 0.6208 0.4311
O 0.5446 0.5570 0.5412
O 0.7739 0.3832 0.6580
O 0.5899 0.4466 0.9485
O 0.5422 0.7875 0.8049
O 0.8906 0.5059 0.2352
O 0.3906 0.4941 0.7648
O 0.0422 0.2125 0.1951
B 0.2062 0.1908 0.2335
B 0.4704 0.5918 0.8653
B 0.1840 0.7889 0.2974
B 0.7062 0.8092 0.7665
B 0.9704 0.4082 0.1347
B 0.9389 0.5789 0.3643
B 0.2134 0.4181 0.4340
B 0.7134 0.5819 0.5660
B 0.4389 0.4211 0.6357
B 0.6840 0.2111 0.7026
B 0.7460 0.4949 0.9522
B 0.2460 0.5051 0.0478
Ba 0.4201 0.0626 0.9582
Ba 0.0648 0.4946 0.7407
Ba 0.9121 0.0643 0.4644
Ba 0.9201 0.9374 0.0418
Ba 0.4121 0.9357 0.5356
Ba 0.5648 0.5054 0.2593
F 0.6335 0.8688 0.1154
F 0.6294 0.1412 0.3869
F 0.1294 0.8588 0.6131
F 0.1335 0.1312 0.8846

Results
SG: No. 4
Formation enthalpy at 0 K in eV per atom: -3.025
V in Å³ per atom: 12.19
Magnetization in μB per atom: 0.000

---

Crystalline BaB12H12 at its relaxed geometry, computed with r2SCAN.

a = 7.3054 Å, b = 7.3054 Å, c = 11.8102 Å
α = 90.00°, β = 90.00°, γ = 120.00°
Positions (direct):
B 0.3003 0.5124 0.0248
B 0.2121 0.6997 0.0248
B 0.6350 0.4551 0.7516
B 0.1367 0.7193 0.1654
B 0.5287 0.6139 0.1109
B 0.4173 0.2807 0.6654
B 0.6139 0.5287 0.6109
B 0.2807 0.4173 0.1654
B 0.5124 0.3003 0.5248
B 0.8633 0.5827 0.6654
B 0.3650 0.8201 0.2516
B 0.5449 0.1799 0.7516
B 0.1799 0.5449 0.2516
B 0.0852 0.4713 0.1109
B 0.8201 0.3650 0.7516
B 0.4551 0.6350 0.2516
B 0.9148 0.3861 0.6109
B 0.5827 0.8633 0.1654
B 0.7879 0.4876 0.5248
B 0.3861 0.9148 0.1109
B 0.6997 0.2121 0.5248
B 0.4713 0.0852 0.6109
B 0.4876 0.7879 0.0248
B 0.7193 0.1367 0.6654
H 0.5782 0.6676 0.5880
H 0.9107 0.3324 0.0880
H 0.6160 0.5413 0.8334
H 0.0893 0.4218 0.5880
H 0.4218 0.0893 0.0880
H 0.7242 0.1241 0.4454
H 0.7592 0.0011 0.1854
H 0.6002 0.8759 0.9454
H 0.0747 0.4587 0.3334
H 0.4587 0.0747 0.8334
H 0.7581 0.9989 0.6854
H 0.9989 0.7581 0.1854
H 0.9253 0.3840 0.8334
H 0.3840 0.9253 0.3334
H 0.3324 0.9107 0.5880
H 0.3998 0.2758 0.4454
H 0.8759 0.6002 0.4454
H 0.2419 0.2408 0.1854
H 0.2408 0.2419 0.6854
H 0.1241 0.7243 0.9454
H 0.2757 0.3998 0.9454
H 0.5413 0.6160 0.3334
H 0.0011 0.7592 0.6854
H 0.6676 0.5782 0.0880
Ba 0.6667 0.3333 0.2631
Ba 0.3333 0.6667 0.7631

Results
SG: No. 159
Formation enthalpy at 0 K in eV per atom: -0.395
V in Å³ per atom: 10.92
Magnetization in μB per atom: 0.000

---

Crystalline BaB2Ir2 at its relaxed geometry, computed with r2SCAN.

a = 3.9448 Å, b = 3.9448 Å, c = 6.4003 Å
α = 107.95°, β = 107.95°, γ = 90.00°
Positions (direct):
Ir 0.7500 0.2500 0.5000
Ir 0.2500 0.7500 0.5000
B 0.6825 0.6825 0.3649
B 0.3175 0.3175 0.6351
Ba 0.0000 0.0000 0.0000

Results
SG: No. 139
Formation enthalpy at 0 K in eV per atom: -0.578
V in Å³ per atom: 17.93
Magnetization in μB per atom: 0.000

---

Crystalline Ba7B12Ir12 at its relaxed geometry, computed with r2SCAN.

a = 9.3139 Å, b = 9.3139 Å, c = 9.3139 Å
α = 111.36°, β = 111.36°, γ = 111.36°
Positions (direct):
B 0.5000 0.2726 0.7274
B 0.2726 0.7274 0.5000
B 0.5000 0.9406 0.0594
B 0.0594 0.9406 0.5000
B 0.0594 0.5000 0.9406
B 0.5000 0.7274 0.2726
B 0.5000 0.0594 0.9406
B 0.9406 0.5000 0.0594
B 0.9406 0.0594 0.5000
B 0.2726 0.5000 0.7274
B 0.7274 0.5000 0.2726
B 0.7274 0.2726 0.5000
Ir 0.6156 0.2356 0.2356
Ir 0.6696 0.0000 0.3304
Ir 0.2356 0.2356 0.6156
Ir 0.7644 0.7644 0.3844
Ir 0.6696 0.3304 0.0000
Ir 0.3304 0.0000 0.6696
Ir 0.3304 0.6696 0.0000
Ir 0.0000 0.6696 0.3304
Ir 0.2356 0.6156 0.2356
Ir 0.0000 0.3304 0.6696
Ir 0.7644 0.3844 0.7644
Ir 0.3844 0.7644 0.7644
Ba 0.0113 0.7081 0.7081
Ba 0.5000 0.5000 0.5000
Ba 0.7081 0.7081 0.0113
Ba 0.2919 0.2919 0.9887
Ba 0.9887 0.2919 0.2919
Ba 0.7081 0.0113 0.7081
Ba 0.2919 0.9887 0.2919

Results
SG: No. 166
Formation enthalpy at 0 K in eV per atom: -0.564
V in Å³ per atom: 18.53
Magnetization in μB per atom: 0.030

---

Crystalline BaNi12B6 at its relaxed geometry, computed with r2SCAN.

a = 6.0844 Å, b = 6.0844 Å, c = 6.0845 Å
α = 104.69°, β = 104.69°, γ = 104.69°
Positions (direct):
B 0.7696 0.3545 0.7696
B 0.7696 0.7696 0.3545
B 0.3545 0.7696 0.7696
B 0.2304 0.2304 0.6455
B 0.6455 0.2304 0.2304
B 0.2304 0.6455 0.2304
Ba 0.0000 0.0000 0.0000
Ni 0.4675 0.4675 0.1878
Ni 0.5325 0.5325 0.8122
Ni 0.5000 0.1329 0.8671
Ni 0.8122 0.5325 0.5325
Ni 0.1329 0.5000 0.8671
Ni 0.1878 0.4675 0.4675
Ni 0.8671 0.5000 0.1329
Ni 0.1329 0.8671 0.5000
Ni 0.8671 0.1329 0.5000
Ni 0.4675 0.1878 0.4675
Ni 0.5325 0.8122 0.5325
Ni 0.5000 0.8671 0.1329

Results
SG: No. 166
Formation enthalpy at 0 K in eV per atom: -0.303
V in Å³ per atom: 10.43
Magnetization in μB per atom: 0.000

---

Crystalline BaB4O7 at its relaxed geometry, computed with r2SCAN.

a = 8.2701 Å, b = 10.5842 Å, c = 13.0806 Å
α = 75.14°, β = 90.00°, γ = 90.00°
Positions (direct):
O 0.4019 0.1814 0.7102
O 0.0052 0.1664 0.5725
O 0.7545 0.2587 0.0974
O 0.6957 0.9694 0.9767
O 0.9716 0.3375 0.6619
O 0.1805 0.2793 0.7888
O 0.7282 0.9508 0.6574
O 0.9019 0.8186 0.7898
O 0.1061 0.8920 0.9856
O 0.2506 0.3611 0.6056
O 0.7506 0.6389 0.8944
O 0.7494 0.6389 0.3944
O 0.5981 0.8186 0.2898
O 0.9948 0.8336 0.4275
O 0.0671 0.6117 0.5258
O 0.6806 0.7207 0.7112
O 0.9159 0.7957 0.6105
O 0.3557 0.5077 0.1990
O 0.3070 0.6839 0.5934
O 0.2494 0.3611 0.1056
O 0.2282 0.0492 0.8426
O 0.1443 0.5077 0.6990
O 0.2455 0.7413 0.9026
O 0.6443 0.4923 0.8010
O 0.2718 0.0492 0.3426
O 0.1957 0.0306 0.5233
O 0.3043 0.0306 0.0233
O 0.9781 0.6965 0.9686
O 0.5284 0.3375 0.1619
O 0.8043 0.9694 0.4767
O 0.3939 0.8920 0.4856
O 0.3194 0.2793 0.2888
O 0.0841 0.2043 0.3895
O 0.1930 0.6839 0.0934
O 0.6061 0.1080 0.5144
O 0.5671 0.3883 0.9742
O 0.4948 0.1664 0.0725
O 0.4781 0.3035 0.5314
O 0.5841 0.7957 0.1105
O 0.5052 0.8336 0.9275
O 0.7455 0.2587 0.5974
O 0.8070 0.3161 0.9066
O 0.7718 0.9508 0.1574
O 0.4716 0.6625 0.8381
O 0.0284 0.6625 0.3381
O 0.0981 0.1814 0.2102
O 0.8557 0.4923 0.3010
O 0.8194 0.7207 0.2112
O 0.8939 0.1080 0.0144
O 0.5219 0.6965 0.4686
O 0.2545 0.7413 0.4026
O 0.6930 0.3161 0.4066
O 0.0219 0.3035 0.0314
O 0.4329 0.6117 0.0258
O 0.4159 0.2043 0.8895
O 0.9329 0.3883 0.4742
B 0.6931 0.8180 0.1942
B 0.8069 0.8180 0.6942
B 0.1747 0.6035 0.6072
B 0.8662 0.2465 0.0154
B 0.4155 0.7119 0.9261
B 0.8253 0.3965 0.3928
B 0.6747 0.3965 0.8928
B 0.2848 0.9887 0.4478
B 0.0845 0.7119 0.4261
B 0.6344 0.6325 0.8116
B 0.8656 0.6325 0.3116
B 0.7848 0.0113 0.0522
B 0.1931 0.1820 0.3058
B 0.7152 0.0113 0.5522
B 0.1338 0.7535 0.9846
B 0.1344 0.3675 0.6884
B 0.5845 0.2881 0.0739
B 0.8808 0.7217 0.8813
B 0.9155 0.2881 0.5739
B 0.3808 0.2783 0.6187
B 0.3656 0.3675 0.1884
B 0.3069 0.1820 0.8058
B 0.6338 0.2465 0.5154
B 0.9101 0.8626 0.5068
B 0.1192 0.2783 0.1187
B 0.0899 0.1374 0.4932
B 0.3253 0.6035 0.1072
B 0.3662 0.7535 0.4846
B 0.5899 0.8626 0.0068
B 0.2152 0.9887 0.9478
B 0.4101 0.1374 0.9932
B 0.6192 0.7217 0.3813
Ba 0.6170 0.1053 0.2963
Ba 0.7394 0.5394 0.1054
Ba 0.1170 0.8947 0.2037
Ba 0.8830 0.1053 0.7963
Ba 0.2606 0.4606 0.8946
Ba 0.2394 0.4606 0.3946
Ba 0.7606 0.5394 0.6054
Ba 0.3830 0.8947 0.7037

Results
SG: No. 14
Formation enthalpy at 0 K in eV per atom: -2.803
V in Å³ per atom: 11.53
Magnetization in μB per atom: 0.000

---

Crystalline Ba3B2O6 at its relaxed geometry, computed with r2SCAN.

a = 7.1337 Å, b = 7.1337 Å, c = 7.1337 Å
α = 84.30°, β = 84.30°, γ = 84.30°
Positions (direct):
O 0.5293 0.3917 0.2382
O 0.8917 0.0293 0.7382
O 0.0293 0.7382 0.8917
O 0.2382 0.5293 0.3917
O 0.4707 0.6083 0.7618
O 0.7382 0.8917 0.0293
O 0.3917 0.2382 0.5293
O 0.6083 0.7618 0.4707
O 0.7618 0.4707 0.6083
O 0.1083 0.9707 0.2618
O 0.9707 0.2618 0.1083
O 0.2618 0.1083 0.9707
B 0.1140 0.1140 0.1140
B 0.6140 0.6140 0.6140
B 0.3860 0.3860 0.3860
B 0.8860 0.8860 0.8860
Ba 0.9017 0.5983 0.2500
Ba 0.5983 0.2500 0.9017
Ba 0.0983 0.4017 0.7500
Ba 0.7500 0.0983 0.4017
Ba 0.2500 0.9017 0.5983
Ba 0.4017 0.7500 0.0983

Results
SG: No. 167
Formation enthalpy at 0 K in eV per atom: -2.977
V in Å³ per atom: 16.27
Magnetization in μB per atom: 0.000

---

Crystalline BaB4Pt6 at its relaxed geometry, computed with r2SCAN.

a = 6.2387 Å, b = 6.2387 Å, c = 5.2503 Å
α = 90.00°, β = 90.00°, γ = 120.00°
Positions (direct):
Pt 0.9621 0.4810 0.7515
Pt 0.5190 0.0379 0.7515
Pt 0.5190 0.4810 0.7515
Pt 0.4810 0.5190 0.2485
Pt 0.0379 0.5190 0.2485
Pt 0.4810 0.9621 0.2485
B 0.3333 0.6667 0.9237
B 0.3333 0.6667 0.5781
B 0.6667 0.3333 0.0763
B 0.6667 0.3333 0.4219
Ba 0.0000 0.0000 0.5000

Results
SG: No. 164
Formation enthalpy at 0 K in eV per atom: -0.496
V in Å³ per atom: 16.09
Magnetization in μB per atom: 0.000

---

Crystalline BaB2Rh2 at its relaxed geometry, computed with r2SCAN.

a = 3.9152 Å, b = 3.9152 Å, c = 6.3743 Å
α = 107.88°, β = 107.88°, γ = 90.00°
Positions (direct):
B 0.3168 0.3168 0.6336
B 0.6832 0.6832 0.3664
Rh 0.7500 0.2500 0.5000
Rh 0.2500 0.7500 0.5000
Ba 0.0000 0.0000 0.0000

Results
SG: No. 139
Formation enthalpy at 0 K in eV per atom: -0.552
V in Å³ per atom: 17.60
Magnetization in μB per atom: 0.000